The following is a DFT calculation (PBE) of CuH20S2N2O14 after structural relaxation.

a = 12.7387 Å, b = 6.0956 Å, c = 9.7944 Å
α = 73.18°, β = 90.00°, γ = 90.00°
Last column: nearest neighbours and their distance in Å.
Fractional coordinates of all 78 atoms:
O 0.4118 0.2257 0.0308  1 S 1.49
O 0.6099 0.1608 0.3532  2 H 1.00-1.01
O 0.5714 0.6260 0.2281  1 S 1.48
O 0.6748 0.9724 0.1240  1 S 1.51
O 0.8901 0.1608 0.8532  2 H 1.00-1.01
O 0.7613 0.5996 0.6143  1 S 1.50
O 0.5882 0.7743 0.9692  1 S 1.49
O 0.9118 0.7743 0.4692  1 S 1.49
O 0.2387 0.4004 0.3857  1 S 1.50
O 0.3866 0.9559 0.3185  2 H 0.99
O 0.4437 0.2774 0.4886  1 H 0.99
O 0.5563 0.7226 0.5114  1 H 0.99
O 0.1748 0.0276 0.3760  1 S 1.51
O 0.1134 0.9559 0.8185  2 H 0.99
O 0.6134 0.0441 0.6815  2 H 0.99
O 0.8252 0.9724 0.6240  1 S 1.51
O 0.3901 0.8392 0.6468  2 H 1.00-1.01
O 0.2613 0.4004 0.8857  1 S 1.50
O 0.1099 0.8392 0.1468  2 H 1.00-1.01
O 0.0714 0.3740 0.2719  1 S 1.48
O 0.0563 0.2774 0.9886  1 H 0.99
O 0.3252 0.0276 0.8760  1 S 1.51
O 0.7387 0.5996 0.1143  1 S 1.50
O 0.8866 0.0441 0.1815  2 H 0.99
O 0.9437 0.7226 0.0114  1 H 0.99
O 0.4286 0.3740 0.7719  1 S 1.48
O 0.9286 0.6260 0.7281  1 S 1.48
O 0.0882 0.2257 0.5308  1 S 1.49
N 0.6398 0.3745 0.8642  4 H 1.04-1.05
N 0.1398 0.6255 0.6358  4 H 1.04-1.05
N 0.8602 0.3745 0.3642  4 H 1.04-1.05
N 0.3602 0.6255 0.1358  4 H 1.04-1.05
H 0.6594 0.2257 0.9440  1 N 1.04
H 0.3985 0.0533 0.2200  1 O 0.99
H 0.1594 0.7743 0.5560  1 N 1.04
H 0.6324 0.7141 0.5351  1 O 0.99
H 0.3132 0.9854 0.3414  1 O 0.99
H 0.0675 0.6478 0.6806  1 N 1.05
H 0.1324 0.2859 0.9649  1 O 0.99
H 0.0888 0.6741 0.1903  1 O 1.01
H 0.6315 0.5086 0.9094  1 N 1.04
H 0.9112 0.3259 0.8097  1 O 1.01
H 0.4325 0.6478 0.1806  1 N 1.05
H 0.6209 0.0886 0.2750  1 O 1.00
H 0.3854 0.6737 0.8841  2 H 1.80-1.93
H 0.6868 0.0146 0.6586  1 O 0.99
H 0.8791 0.0886 0.7750  1 O 1.00
H 0.8685 0.5086 0.4094  1 N 1.04
H 0.1964 0.5824 0.7150  1 N 1.04
H 0.3685 0.4914 0.0906  1 N 1.04
H 0.8132 0.0146 0.1586  1 O 0.99
H 0.4112 0.6741 0.6903  1 O 1.01
H 0.1015 0.0533 0.7200  1 O 0.99
H 0.6015 0.9467 0.7800  1 O 0.99
H 0.3676 0.2859 0.4649  1 O 0.99
H 0.8676 0.7141 0.0351  1 O 0.99
H 0.3036 0.5824 0.2150  1 N 1.04
H 0.8406 0.2257 0.4440  1 N 1.04
H 0.6146 0.3263 0.1159  2 H 1.80-1.93
H 0.8036 0.4176 0.2850  1 N 1.04
H 0.5888 0.3259 0.3097  1 O 1.01
H 0.8854 0.3263 0.6159  2 H 1.80-1.93
H 0.1146 0.6737 0.3841  2 H 1.80-1.93
H 0.3791 0.9114 0.7250  1 O 1.00
H 0.1868 0.9854 0.8414  1 O 0.99
H 0.5675 0.3522 0.8194  1 N 1.05
H 0.6964 0.4176 0.7850  1 N 1.04
H 0.9325 0.3522 0.3194  1 N 1.05
H 0.1209 0.9114 0.2250  1 O 1.00
H 0.8985 0.9467 0.2800  1 O 0.99
H 0.1315 0.4914 0.5906  1 N 1.04
H 0.3406 0.7743 0.0560  1 N 1.04
Cu 0.5000 0.0000 0.5000  2 O 1.81
Cu 0.0000 0.0000 0.0000  2 O 1.81
S 0.8580 0.7428 0.6086  4 O 1.48-1.51
S 0.6420 0.7428 0.1086  4 O 1.48-1.51
S 0.1420 0.2572 0.3914  4 O 1.48-1.51
S 0.3580 0.2572 0.8914  4 O 1.48-1.51

**Total magnetization**: 4.4 Bohr magnetons per cell
**Energy relative to the elements**: -37.2 eV per formula unit
**Raw total energy**: -4.967 eV/atom

The following is a DFT calculation (PBE) of CuH20S2N2O14 after structural relaxation.

a = 12.3414 Å, b = 6.4616 Å, c = 9.1976 Å
α = 74.61°, β = 90.00°, γ = 90.00°
Last column: nearest neighbours and their distance in Å.
Fractional coordinates of all 78 atoms:
H 0.4248 0.6371 0.1615  1 N 1.04
H 0.6418 0.6941 0.5222  1 O 1.00
H 0.1310 0.8805 0.2673  1 O 0.98
H 0.8263 0.4569 0.4355  1 N 1.04
H 0.3582 0.3059 0.4778  1 O 1.00
H 0.8162 0.9941 0.1366  1 O 1.00
H 0.5951 0.3357 0.2706  1 O 0.98
H 0.2066 0.6149 0.7216  1 N 1.03
H 0.6713 0.1968 0.9379  1 N 1.04
H 0.0752 0.6371 0.6615  1 N 1.04
H 0.3162 0.0059 0.3634  1 O 1.00
H 0.4396 0.3030 0.6123  1 O 1.00
H 0.9049 0.3357 0.7706  1 O 0.98
H 0.5938 0.9314 0.7653  1 O 1.00
H 0.0938 0.0686 0.7347  1 O 1.00
H 0.6310 0.1195 0.2327  1 O 0.98
H 0.9248 0.3629 0.3385  1 N 1.04
H 0.8582 0.6941 0.0222  1 O 1.00
H 0.3263 0.5431 0.0645  1 N 1.04
H 0.0604 0.3030 0.1123  1 O 1.00
H 0.6737 0.4569 0.9355  1 N 1.04
H 0.1418 0.3059 0.9778  1 O 1.00
H 0.4049 0.6643 0.7294  1 O 0.98
H 0.8287 0.1968 0.4379  1 N 1.04
H 0.6838 0.9941 0.6366  1 O 1.00
H 0.4062 0.0686 0.2347  1 O 1.00
H 0.7934 0.3851 0.2784  1 N 1.03
H 0.9062 0.9314 0.2653  1 O 1.00
H 0.8690 0.1195 0.7327  1 O 0.98
H 0.5752 0.3629 0.8385  1 N 1.04
H 0.3690 0.8805 0.7673  1 O 0.98
H 0.1713 0.8032 0.5621  1 N 1.04
H 0.5604 0.6970 0.3877  1 O 1.00
H 0.9396 0.6970 0.8877  1 O 1.00
H 0.3287 0.8032 0.0621  1 N 1.04
H 0.0951 0.6643 0.2294  1 O 0.98
H 0.7066 0.3851 0.7784  1 N 1.03
H 0.1737 0.5431 0.5645  1 N 1.04
H 0.1838 0.0059 0.8634  1 O 1.00
H 0.2934 0.6149 0.2216  1 N 1.03
O 0.6241 0.1906 0.3146  2 H 0.98
O 0.3921 0.9745 0.3384  2 H 1.00
O 0.9329 0.6402 0.7148  1 S 1.50
O 0.6079 0.0255 0.6616  2 H 1.00
O 0.8759 0.1906 0.8146  2 H 0.98
O 0.2682 0.3993 0.9206  1 S 1.50
O 0.0647 0.2774 0.0103  2 H 1.00
O 0.7682 0.6007 0.5794  1 S 1.50
O 0.1810 0.0450 0.3950  1 S 1.50
O 0.4329 0.3598 0.7852  1 S 1.50
O 0.4256 0.2156 0.0566  1 S 1.48
O 0.4353 0.2774 0.5103  2 H 1.00
O 0.0744 0.2156 0.5566  1 S 1.48
O 0.1079 0.9745 0.8384  2 H 1.00
O 0.3190 0.0450 0.8950  1 S 1.50
O 0.3759 0.8094 0.6854  2 H 0.98
O 0.9353 0.7226 0.9897  2 H 1.00
O 0.8921 0.0255 0.1616  2 H 1.00
O 0.6810 0.9550 0.1050  1 S 1.50
O 0.2318 0.3993 0.4206  1 S 1.50
O 0.0671 0.3598 0.2852  1 S 1.50
O 0.5671 0.6402 0.2148  1 S 1.50
O 0.5647 0.7226 0.4897  2 H 1.00
O 0.1241 0.8094 0.1854  2 H 0.98
O 0.8190 0.9550 0.6050  1 S 1.50
O 0.5744 0.7844 0.9434  1 S 1.48
O 0.9256 0.7844 0.4434  1 S 1.48
O 0.7318 0.6007 0.0794  1 S 1.50
S 0.1382 0.2526 0.4161  4 O 1.48-1.50
S 0.6382 0.7474 0.0839  4 O 1.48-1.50
S 0.8618 0.7474 0.5839  4 O 1.48-1.50
S 0.3618 0.2526 0.9161  4 O 1.48-1.50
Cu 0.5000 0.0000 0.5000  4 O 1.99-2.03
Cu 0.0000 0.0000 0.0000  4 O 1.99-2.03
N 0.6564 0.3510 0.8714  4 H 1.03-1.04
N 0.1564 0.6490 0.6286  4 H 1.03-1.04
N 0.3436 0.6490 0.1286  4 H 1.03-1.04
N 0.8436 0.3510 0.3714  4 H 1.03-1.04

**Total magnetization**: 2.0 Bohr magnetons per cell
**Energy relative to the elements**: -47.8 eV per formula unit
**Raw total energy**: -5.241 eV/atom

The following is a DFT calculation (PBE) of CuH20S2N2O14 after structural relaxation.

a = 12.7489 Å, b = 6.1017 Å, c = 9.4557 Å
α = 72.79°, β = 90.00°, γ = 90.00°
Last column: nearest neighbours and their distance in Å.
Fractional coordinates of all 78 atoms:
O 0.1125 0.9492 0.8183  2 H 0.99
O 0.5872 0.7740 0.9719  1 S 1.49
O 0.0654 0.2986 0.9890  2 H 0.99-1.00
O 0.0872 0.2260 0.5281  1 S 1.49
O 0.6726 0.9802 0.1268  1 S 1.50
O 0.1726 0.0198 0.3732  1 S 1.50
O 0.3906 0.8363 0.6514  2 H 0.99-1.00
O 0.3875 0.9492 0.3183  2 H 0.99
O 0.2395 0.3944 0.3794  1 S 1.49
O 0.6125 0.0508 0.6817  2 H 0.99
O 0.4128 0.2260 0.0281  1 S 1.49
O 0.8906 0.1637 0.8486  2 H 0.99-1.00
O 0.3274 0.0198 0.8732  1 S 1.50
O 0.2605 0.3944 0.8794  1 S 1.49
O 0.7395 0.6056 0.1206  1 S 1.49
O 0.4268 0.3722 0.7599  1 S 1.50
O 0.9128 0.7740 0.4719  1 S 1.49
O 0.8274 0.9802 0.6268  1 S 1.50
O 0.6094 0.1637 0.3486  2 H 0.99-1.00
O 0.0732 0.3722 0.2599  1 S 1.50
O 0.8875 0.0508 0.1817  2 H 0.99
O 0.1094 0.8363 0.1514  2 H 0.99-1.00
O 0.5732 0.6278 0.2401  1 S 1.50
O 0.9268 0.6278 0.7401  1 S 1.50
O 0.7605 0.6056 0.6206  1 S 1.49
O 0.9346 0.7014 0.0110  2 H 0.99-1.00
O 0.5654 0.7014 0.5110  2 H 0.99-1.00
O 0.4346 0.2986 0.4890  2 H 0.99-1.00
H 0.3139 0.9735 0.3427  1 O 0.99
H 0.0673 0.6491 0.6788  1 N 1.04
H 0.3466 0.7708 0.0414  1 N 1.04
H 0.3043 0.5792 0.2043  1 N 1.04
H 0.6230 0.5138 0.9165  1 N 1.04
H 0.0615 0.3327 0.0854  1 O 0.99
H 0.4327 0.6491 0.1788  1 N 1.04
H 0.3770 0.4862 0.0835  1 N 1.04
H 0.0924 0.6708 0.1954  1 O 1.00
H 0.8139 0.0265 0.1573  1 O 0.99
H 0.1534 0.7708 0.5414  1 N 1.04
H 0.9385 0.6673 0.9146  1 O 0.99
H 0.1861 0.9735 0.8427  1 O 0.99
H 0.1957 0.5792 0.7043  1 N 1.04
H 0.5924 0.3292 0.3046  1 O 1.00
H 0.1230 0.4862 0.5835  1 N 1.04
H 0.6249 0.0971 0.2668  1 O 0.99
H 0.8596 0.6841 0.0436  1 O 1.00
H 0.6021 0.9523 0.7841  1 O 0.99
H 0.1404 0.3159 0.9564  1 O 1.00
H 0.3751 0.9029 0.7332  1 O 0.99
H 0.6957 0.4208 0.7957  1 N 1.04
H 0.4385 0.3327 0.5854  1 O 0.99
H 0.3979 0.0477 0.2159  1 O 0.99
H 0.8979 0.9523 0.2841  1 O 0.99
H 0.9076 0.3292 0.8046  1 O 1.00
H 0.8043 0.4208 0.2957  1 N 1.04
H 0.9327 0.3509 0.3212  1 N 1.04
H 0.6404 0.6841 0.5436  1 O 1.00
H 0.5615 0.6673 0.4146  1 O 0.99
H 0.8751 0.0971 0.7668  1 O 0.99
H 0.1021 0.0477 0.7159  1 O 0.99
H 0.8770 0.5138 0.4165  1 N 1.04
H 0.6861 0.0265 0.6573  1 O 0.99
H 0.3596 0.3159 0.4564  1 O 1.00
H 0.8466 0.2292 0.4586  1 N 1.04
H 0.5673 0.3509 0.8212  1 N 1.04
H 0.4076 0.6708 0.6954  1 O 1.00
H 0.6534 0.2292 0.9586  1 N 1.04
H 0.1249 0.9029 0.2332  1 O 0.99
S 0.1438 0.2513 0.3866  4 O 1.49-1.50
S 0.3562 0.2513 0.8866  4 O 1.49-1.50
S 0.8562 0.7487 0.6134  4 O 1.49-1.50
S 0.6438 0.7487 0.1134  4 O 1.49-1.50
N 0.3640 0.6225 0.1266  4 H 1.04
N 0.6360 0.3775 0.8734  4 H 1.04
N 0.1360 0.6225 0.6266  4 H 1.04
N 0.8640 0.3775 0.3734  4 H 1.04
Cu 0.0000 0.0000 0.0000  4 O 1.98-2.04
Cu 0.5000 0.0000 0.5000  4 O 1.98-2.04

**Total magnetization**: 2.6 Bohr magnetons per cell
**Energy relative to the elements**: -47.9 eV per formula unit
**Raw total energy**: -5.241 eV/atom

The following is a DFT calculation (PBE) of CuHSN4O4 after structural relaxation.

a = 8.3381 Å, b = 9.1930 Å, c = 10.4187 Å
α = 90.00°, β = 90.00°, γ = 90.00°
Last column: nearest neighbours and their distance in Å.
Fractional coordinates of all 44 atoms:
H 0.2500 0.8108 0.6812  1 Cu 1.51
H 0.7500 0.3108 0.8188  1 Cu 1.51
H 0.2500 0.6892 0.1812  1 Cu 1.51
H 0.7500 0.1892 0.3188  1 Cu 1.51
N 0.4468 0.3112 0.4890  1 N 1.11
N 0.9495 0.2648 0.9830  1 N 1.11
N 0.9468 0.6888 0.5110  1 N 1.11
N 0.0532 0.3112 0.4890  1 N 1.11
N 0.4468 0.1888 0.9890  1 N 1.11
N 0.9468 0.8112 0.0110  1 N 1.11
N 0.5505 0.2648 0.9830  1 N 1.11
N 0.5532 0.6888 0.5110  1 N 1.11
N 0.4495 0.7648 0.5170  1 N 1.11
N 0.5532 0.8112 0.0110  1 N 1.11
N 0.4495 0.7352 0.0170  1 N 1.11
N 0.9495 0.2352 0.4830  1 N 1.11
N 0.5505 0.2352 0.4830  1 N 1.11
N 0.0505 0.7352 0.0170  1 N 1.11
N 0.0532 0.1888 0.9890  1 N 1.11
N 0.0505 0.7648 0.5170  1 N 1.11
Cu 0.2500 0.8711 0.5469  1 H 1.51
Cu 0.2500 0.6289 0.0469  1 H 1.51
Cu 0.7500 0.1290 0.4531  1 H 1.51
Cu 0.7500 0.3711 0.9531  1 H 1.51
O 0.2500 0.4808 0.9275  1 S 1.56
O 0.1035 0.5182 0.7274  1 S 1.47
O 0.3965 0.5182 0.7274  1 S 1.47
O 0.6035 0.4818 0.2726  1 S 1.47
O 0.2500 0.2078 0.2714  1 S 1.47
O 0.7500 0.9808 0.5725  1 S 1.56
O 0.3965 0.9818 0.2274  1 S 1.47
O 0.2500 0.2922 0.7714  1 S 1.47
O 0.7500 0.7078 0.2286  1 S 1.47
O 0.7500 0.7922 0.7286  1 S 1.47
O 0.8965 0.0182 0.7726  1 S 1.47
O 0.7500 0.5192 0.0725  1 S 1.56
O 0.1035 0.9818 0.2274  1 S 1.47
O 0.6035 0.0182 0.7726  1 S 1.47
O 0.2500 0.0192 0.4275  1 S 1.56
O 0.8965 0.4818 0.2726  1 S 1.47
S 0.2500 0.0480 0.2800  4 O 1.47-1.56
S 0.7500 0.9520 0.7200  4 O 1.47-1.56
S 0.7500 0.5480 0.2200  4 O 1.47-1.56
S 0.2500 0.4520 0.7800  4 O 1.47-1.56

**Total magnetization**: 0.0 Bohr magnetons per cell
**Energy relative to the elements**: -5.6 eV per formula unit
**Raw total energy**: -6.150 eV/atom

Which formula does entry 2 have?
CuH20S2N2O14